1.
DFT (GGA+U) results for crystalline K2FeH4S2O10 at its relaxed geometry.

Calculated total energy: -212.0 eV for the cell shown
Space-group type: P1 (1)
Formation enthalpy at 0 K: -1.7422 eV per atom

Lattice parameters (Å, degrees): 6.7629 7.7046 10.8437 71.78 74.39 70.27
Element x y z (fractional)
K (0.0000, 0.0000, 0.0000)
K (0.0404, 0.4532, 0.3367)
K (0.5124, 0.9988, 0.4960)
K (0.5550, 0.5069, 0.8330)
Fe (0.0299, 0.8220, 0.6635)
Fe (0.5208, 0.7055, 0.1617)
H (0.0019, 0.4679, 0.7836)
H (0.1100, 0.4584, 0.6343)
H (0.1642, 0.0444, 0.7127)
H (0.3938, 0.4183, 0.1220)
H (0.3951, 0.6150, 0.5965)
H (0.3965, 0.0365, 0.2089)
H (0.5325, 0.0482, 0.0578)
H (0.6086, 0.3254, 0.1882)
S (0.0261, 0.5222, 0.9972)
S (0.0451, 0.9587, 0.3302)
S (0.5334, 0.4422, 0.4753)
S (0.5407, 0.9644, 0.8449)
O (0.0468, 0.0541, 0.6714)
O (0.0721, 0.6868, 0.8887)
O (0.1656, 0.8109, 0.2521)
O (0.1889, 0.0711, 0.3268)
O (0.2274, 0.4001, 0.0464)
O (0.3395, 0.7249, 0.6358)
O (0.3411, 0.3899, 0.4748)
O (0.3481, 0.0833, 0.7889)
O (0.4816, 0.8062, 0.9588)
O (0.4851, 0.4368, 0.1740)
O (0.5324, 0.9778, 0.1523)
O (0.5925, 0.5930, 0.3568)
O (0.6293, 0.0786, 0.8926)
O (0.7021, 0.8716, 0.7413)
O (0.7208, 0.2801, 0.5040)
O (0.8526, 0.0794, 0.2744)
O (0.8686, 0.5944, 0.1095)
O (0.9390, 0.4075, 0.9478)
O (0.9760, 0.8582, 0.4722)
O (0.9983, 0.5376, 0.6886)

=====

2.
DFT (GGA+U) results for crystalline KFeH5S2O10 at its relaxed geometry.

Calculated total energy: -99.7 eV for the cell shown
Space-group type: P1 (1)
Formation enthalpy at 0 K: -1.2897 eV per atom

Lattice parameters (Å, degrees): 5.1774 6.4010 7.7401 99.69 102.25 94.20
Element x y z (fractional)
K (0.0000, 0.0000, 0.0000)
Fe (0.0039, 0.9165, 0.4999)
H (0.2371, 0.4840, 0.2727)
H (0.3026, 0.7047, 0.7870)
H (0.6323, 0.0583, 0.2507)
H (0.7274, 0.2447, 0.4141)
H (0.8982, 0.5977, 0.6485)
S (0.5586, 0.2038, 0.6906)
S (0.5780, 0.5964, 0.1865)
O (0.0472, 0.7052, 0.6556)
O (0.1572, 0.8350, 0.3239)
O (0.2630, 0.1400, 0.6752)
O (0.3311, 0.4182, 0.1819)
O (0.4353, 0.7740, 0.0545)
O (0.4943, 0.7383, 0.8752)
O (0.5954, 0.3656, 0.5763)
O (0.6856, 0.0051, 0.6333)
O (0.7377, 0.4787, 0.0800)
O (0.7960, 0.1372, 0.3303)

=====

3.
DFT (GGA+U) results for crystalline LiFePH2O5 at its relaxed geometry.

Calculated total energy: -499.8 eV for the cell shown
Space-group type: Pca2_1 (29)
Formation enthalpy at 0 K: -2.0853 eV per atom

Lattice parameters (Å, degrees): 16.9932 5.1569 10.0227 90.00 90.00 90.00
Element x y z (fractional)
Li (0.0546, 0.1062, 0.0000)
Li (0.1946, 0.4744, 0.2280)
Li (0.3054, 0.4744, 0.7280)
Li (0.4454, 0.1062, 0.5000)
Li (0.5546, 0.8938, 0.0000)
Li (0.6946, 0.5256, 0.2280)
Li (0.8054, 0.5256, 0.7280)
Li (0.9454, 0.8938, 0.5000)
Fe (0.0025, 0.4746, 0.2615)
Fe (0.2484, 0.0962, 0.9755)
Fe (0.2516, 0.0962, 0.4755)
Fe (0.4975, 0.4746, 0.7615)
Fe (0.5025, 0.5254, 0.2615)
Fe (0.7484, 0.9038, 0.9755)
Fe (0.7516, 0.9038, 0.4755)
Fe (0.9975, 0.5254, 0.7615)
P (0.0941, 0.9922, 0.3086)
P (0.1568, 0.5927, 0.9204)
P (0.3432, 0.5927, 0.4204)
P (0.4059, 0.9922, 0.8086)
P (0.5941, 0.0078, 0.3086)
P (0.6568, 0.4073, 0.9204)
P (0.8432, 0.4073, 0.4204)
P (0.9059, 0.0078, 0.8086)
H (0.0591, 0.2915, 0.5396)
H (0.1211, 0.9325, 0.5732)
H (0.1234, 0.3896, 0.6455)
H (0.1843, 0.8189, 0.6815)
H (0.3157, 0.8189, 0.1815)
H (0.3766, 0.3896, 0.1455)
H (0.3789, 0.9325, 0.0732)
H (0.4409, 0.2915, 0.0396)
H (0.5591, 0.7085, 0.5396)
H (0.6211, 0.0675, 0.5732)
H (0.6234, 0.6104, 0.6455)
H (0.6843, 0.1811, 0.6815)
H (0.8157, 0.1811, 0.1815)
H (0.8766, 0.6104, 0.1455)
H (0.8789, 0.0675, 0.0732)
H (0.9409, 0.7085, 0.0396)
O (0.0472, 0.1357, 0.1963)
O (0.0495, 0.0297, 0.4428)
O (0.0724, 0.4334, 0.6048)
O (0.0736, 0.4639, 0.9125)
O (0.1014, 0.6992, 0.2759)
O (0.1486, 0.8822, 0.9616)
O (0.1724, 0.9653, 0.6172)
O (0.1776, 0.1179, 0.3159)
O (0.1989, 0.5756, 0.7837)
O (0.2051, 0.4448, 0.0291)
O (0.2949, 0.4448, 0.5291)
O (0.3011, 0.5756, 0.2837)
O (0.3224, 0.1179, 0.8159)
O (0.3276, 0.9653, 0.1172)
O (0.3514, 0.8822, 0.4616)
O (0.3986, 0.6992, 0.7759)
O (0.4264, 0.4639, 0.4125)
O (0.4276, 0.4334, 0.1048)
O (0.4505, 0.0297, 0.9428)
O (0.4528, 0.1357, 0.6963)
O (0.5472, 0.8643, 0.1963)
O (0.5495, 0.9703, 0.4428)
O (0.5724, 0.5666, 0.6048)
O (0.5736, 0.5361, 0.9125)
O (0.6014, 0.3008, 0.2759)
O (0.6486, 0.1178, 0.9616)
O (0.6724, 0.0347, 0.6172)
O (0.6776, 0.8821, 0.3159)
O (0.6989, 0.4244, 0.7837)
O (0.7051, 0.5552, 0.0291)
O (0.7949, 0.5552, 0.5291)
O (0.8011, 0.4244, 0.2837)
O (0.8224, 0.8821, 0.8159)
O (0.8276, 0.0347, 0.1172)
O (0.8514, 0.1178, 0.4616)
O (0.8986, 0.3008, 0.7759)
O (0.9264, 0.5361, 0.4125)
O (0.9276, 0.5666, 0.1048)
O (0.9505, 0.9703, 0.9428)
O (0.9528, 0.8643, 0.6963)

=====

Question: Which of these has the highest calculated total energy?
Answer: KFeH5S2O10

=====

Question: The lowest formation enthalpy at 0 K belongs to which entry?
Answer: LiFePH2O5